The following is a DFT calculation (GGA+U) of a relaxed Li4Cr3P4O15 crystal.

CIF file:
```
data_Li4Cr3P4O15
_cell_length_a 18.1628
_cell_length_b 10.5733
_cell_length_c 6.4230
_cell_angle_alpha 90.00
_cell_angle_beta 90.00
_cell_angle_gamma 90.00
_symmetry_space_group_name_H-M 'P n a 21'
_symmetry_Int_Tables_number 33
loop_
_symmetry_equiv_pos_as_xyz
'x,y,z'
'-x,-y,z+1/2'
'-x+1/2,y+1/2,z+1/2'
'x+1/2,-y+1/2,z'
loop_
_atom_site_label
_atom_site_fract_x
_atom_site_fract_y
_atom_site_fract_z
Li1 0.0089 0.0196 0.0000
Li2 0.0317 0.4495 0.8798
Li3 0.0921 0.6910 0.6340
Li4 0.2026 0.2564 0.0329
Cr1 0.1351 0.0085 0.2805
Cr2 0.1590 0.5043 0.2853
Cr3 0.2485 0.7581 0.0181
P1 0.0478 0.2694 0.3104
P2 0.0591 0.7438 0.1355
P3 0.1741 0.0152 0.7772
P4 0.2009 0.4988 0.7834
O1 0.0083 0.3698 0.1772
O2 0.0225 0.3035 0.5524
O3 0.0232 0.1326 0.2723
O4 0.0462 0.8729 0.2393
O5 0.0760 0.6424 0.3025
O6 0.1123 0.7422 0.9525
O7 0.1244 0.9867 0.5901
O8 0.1251 0.0333 0.9704
O9 0.1314 0.2849 0.3026
O10 0.1495 0.5262 0.5989
O11 0.1502 0.4707 0.9716
O12 0.2202 0.1398 0.7580
O13 0.2342 0.9078 0.8009
O14 0.2444 0.1128 0.3060
O15 0.2469 0.8838 0.2565
```

Results
formation energy from the elements	-2565	meV per atom
corrected total energy (MP2020 scheme)	-7.6604	eV/atom
electronic total energy	-731.5	eV/cell



The following is a DFT calculation (GGA+U) of a relaxed LiCrP4O12 crystal.

CIF file:
```
data_LiCrP4O12
_cell_length_a 9.0713
_cell_length_b 10.3787
_cell_length_c 9.4208
_cell_angle_alpha 90.00
_cell_angle_beta 91.17
_cell_angle_gamma 90.00
_symmetry_space_group_name_H-M 'P 1 21 1'
_symmetry_Int_Tables_number 4
loop_
_symmetry_equiv_pos_as_xyz
'x,y,z'
'-x,y+1/2,-z'
loop_
_atom_site_label
_atom_site_fract_x
_atom_site_fract_y
_atom_site_fract_z
Li1 0.1059 0.0000 0.2521
Li2 0.3859 0.8508 0.7507
Cr1 0.2537 0.4723 0.7651
Cr2 0.2552 0.3930 0.2638
P1 0.0586 0.5680 0.0382
P2 0.0617 0.2955 0.5436
P3 0.2451 0.2006 0.9853
P4 0.2462 0.6644 0.4834
P5 0.2569 0.0712 0.5516
P6 0.2633 0.7943 0.0535
P7 0.4605 0.5760 0.0443
P8 0.4615 0.2893 0.5371
O1 0.0767 0.4101 0.6448
O2 0.0842 0.5477 0.8800
O3 0.0900 0.4545 0.1338
O4 0.1041 0.3169 0.3922
O5 0.1048 0.7511 0.4505
O6 0.1080 0.1100 0.9461
O7 0.1414 0.6878 0.1028
O8 0.1458 0.1799 0.6190
O9 0.2247 0.0607 0.3979
O10 0.2457 0.9037 0.1520
O11 0.2515 0.3115 0.8842
O12 0.2514 0.5552 0.3802
O13 0.2531 0.2307 0.1421
O14 0.2599 0.9609 0.6501
O15 0.2609 0.6334 0.6399
O16 0.2617 0.8064 0.8975
O17 0.3643 0.7739 0.4426
O18 0.3656 0.0931 0.9478
O19 0.4058 0.3877 0.6398
O20 0.4082 0.5534 0.8934
O21 0.4127 0.7136 0.1031
O22 0.4140 0.1473 0.5775
O23 0.4248 0.4696 0.1493
O24 0.4296 0.3185 0.3804
```

Results
excess energy over the best structure of this formula in the dataset	52	meV/atom
formation energy from the elements	-2590	meV per atom
corrected total energy (MP2020 scheme)	-7.7341	eV/atom
electronic total energy	-515.9	eV/cell



The following is a DFT calculation (GGA+U) of a relaxed LiCrPO5 crystal.

CIF file:
```
data_LiCrPO5
_cell_length_a 6.7656
_cell_length_b 6.9831
_cell_length_c 8.0614
_cell_angle_alpha 89.66
_cell_angle_beta 88.64
_cell_angle_gamma 64.40
_symmetry_space_group_name_H-M 'P -1'
_symmetry_Int_Tables_number 2
loop_
_symmetry_equiv_pos_as_xyz
'x,y,z'
'-x,-y,-z'
loop_
_atom_site_label
_atom_site_fract_x
_atom_site_fract_y
_atom_site_fract_z
Li1 0.2003 0.3085 0.4275
Li2 0.2796 0.7836 0.0728
Cr1 0.2558 0.4988 0.7558
Cr2 0.2571 0.9954 0.7442
P1 0.2374 0.7446 0.4129
P2 0.2628 0.2515 0.0876
O1 0.0563 0.4156 0.1784
O2 0.0697 0.8746 0.2811
O3 0.1442 0.6174 0.5254
O4 0.2171 0.0857 0.9869
O5 0.2363 0.7595 0.8240
O6 0.2603 0.2437 0.6833
O7 0.3057 0.8907 0.5180
O8 0.3682 0.3646 0.9741
O9 0.4181 0.1402 0.2330
O10 0.4354 0.5877 0.3092
```

Results
excess energy over the best structure of this formula in the dataset	0	meV/atom
formation energy from the elements	-2452	meV per atom
corrected total energy (MP2020 scheme)	-7.6661	eV/atom
electronic total energy	-223.6	eV/cell